(1)
! Li9Mn2Co5O16 PBE with a Hubbard U optimized geometry; values from VASP
&SYSTEM
  ibrav = 0, nat = 32, ntyp = 4
/
ATOMIC_SPECIES
Co 58.93 Co.upf
O 16.00 O.upf
Li 6.94 Li.upf
Mn 54.94 Mn.upf
CELL_PARAMETERS angstrom
-3.492 -3.682 0.679
3.360 -1.961 -6.572
5.689 -2.290 4.863
ATOMIC_POSITIONS angstrom
Co 2.584 -1.124 1.070
Co 3.576 -6.881 0.761
Co 5.083 -2.206 2.011
Co 1.969 -1.045 -1.860
Co 3.999 -2.075 -3.699
O 0.512 -4.424 -1.479
O 7.181 -4.560 -1.254
O 5.049 -3.445 0.488
O 2.000 -2.318 -3.292
O 3.526 -5.640 2.302
O -1.619 -3.417 0.269
O 1.692 -4.663 4.177
O 2.915 -5.470 -0.490
O 3.907 -3.340 -5.254
O -0.014 -1.367 -1.393
O 2.349 -5.385 -3.495
O 1.032 -4.445 1.243
O 2.641 -2.392 -0.470
O 3.212 -2.521 2.314
O 5.567 -6.606 0.384
O 4.465 -3.425 -2.278
Li 4.991 -5.029 -1.004
Li 3.637 -4.053 3.752
Li 1.899 -3.833 -4.801
Li 2.523 -3.979 -1.927
Li -0.057 -2.820 -2.946
Li 0.523 -2.906 -0.069
Li 6.496 -3.162 -2.711
Li 3.044 -3.993 0.916
Li 4.488 -4.953 -3.755
Mn 5.672 -2.293 4.842
Mn 1.058 -5.790 -0.183
! Crystal system: triclinic
! Polymorph energy (0 for the lowest one): 51 meV per atom
! Final energy: -5.8033 eV per atom
! SG: P1, No. 1
! E_form: -1.81 eV/atom

---

(2)
! LiMnP4O12 PBE with a Hubbard U optimized geometry; values from VASP
&SYSTEM
  ibrav = 0, nat = 72, ntyp = 4
/
ATOMIC_SPECIES
O 16.00 O.upf
P 30.97 P.upf
Li 6.94 Li.upf
Mn 54.94 Mn.upf
CELL_PARAMETERS angstrom
-9.325 0.546 0.828
0.814 -0.152 9.272
1.333 9.194 8.959
ATOMIC_POSITIONS angstrom
O -0.144 5.678 13.457
O -4.442 1.369 7.970
O -2.449 4.091 8.204
O 0.572 8.538 14.913
O -4.106 5.975 7.935
O -7.967 3.963 8.289
O -7.717 1.146 4.109
O -6.466 6.126 9.238
O -3.423 8.202 15.840
O -2.759 5.907 12.359
O -2.916 3.537 11.256
O -5.809 1.031 1.836
O -2.436 3.654 4.321
O -1.788 5.833 9.904
O -2.538 5.476 6.084
O -1.282 8.076 13.262
O -6.832 1.433 9.512
O -0.479 0.539 8.177
O -7.974 6.216 6.896
O 0.764 5.682 10.894
O -6.692 5.538 13.267
O -1.340 1.190 4.244
O -8.169 1.569 7.149
O -0.266 1.128 1.673
O -4.506 4.230 13.083
O -1.467 8.688 17.351
O 1.044 8.071 12.028
O -0.514 3.993 5.880
O -4.824 6.000 14.875
O -4.351 8.839 12.912
O -5.992 8.449 14.733
O 0.697 3.339 12.069
O -0.569 3.496 9.713
O -6.662 8.989 10.964
O -2.876 8.283 11.000
O -5.476 3.685 9.096
O -6.945 4.341 11.041
O -2.945 0.609 6.110
O -5.830 1.433 5.724
O -5.096 8.446 9.096
O -4.291 3.729 6.587
O -6.836 8.416 17.276
O -3.893 1.326 3.377
O -0.260 5.346 7.986
O -4.637 5.344 10.798
O -0.478 8.131 9.686
O -1.970 1.197 10.083
O -6.883 3.870 5.716
P -6.650 0.357 5.018
P -6.982 0.420 0.907
P -0.193 9.172 18.251
P -5.930 4.907 9.899
P -4.753 0.273 2.782
P -0.555 9.229 13.961
P -5.538 4.849 14.187
P 0.614 4.583 6.855
P -3.492 4.836 7.208
P -7.857 5.023 12.232
P -2.547 9.316 16.312
P 0.418 -0.097 6.959
P -3.560 4.739 11.863
P -1.625 4.743 4.970
P -1.235 4.677 9.076
P -8.859 0.501 3.158
Li 1.517 6.803 13.619
Li -8.297 2.742 9.951
Li -4.000 2.561 4.933
Li -3.586 7.173 9.435
Mn -1.109 6.958 11.538
Mn -5.364 7.164 16.476
Mn -6.076 2.612 7.441
Mn -1.027 2.274 11.553
! Crystal system: monoclinic
! Polymorph energy (0 for the lowest one): 115 meV per atom
! Final energy: -7.0261 eV per atom
! SG: Pc, No. 7
! E_form: -2.46 eV/atom